No. 1
A plane-wave DFT calculation with GGA+U was carried out for a geometry-optimized Li2VSi6O15 structure.

Properties
Energy relative to the lowest polymorph listed for this composition   0 meV per atom
V   1211 Å³/cell
DFT formation energy   -3.051 eV per atom

Structure (extended XYZ):
```
96
Lattice="-8.9789 -6.4744 -0.0557 7.8022 -7.6615 -1.7227 0.8893 -1.3183 9.8906" Properties=species:S:1:pos:R:3 pbc="T T T"
Li -3.9324 -3.5904 2.4115
Li -0.2841 -3.4131 -0.4294
Li 0.1404 -4.3141 4.4855
Li -4.5207 -10.6584 1.5224
Li 4.2333 -4.7958 6.5898
Li -0.4278 -11.1402 3.6267
Li -0.8926 -10.7228 -1.3490
Li 3.6449 -11.8638 5.7006
V -1.1712 -4.4135 7.1267
V 1.4721 -3.9728 1.8747
V -1.7595 -11.4814 6.2375
V 0.8837 -11.0407 0.9855
Si -6.2285 -5.7800 4.9801
Si -5.6900 -5.2321 0.2893
Si -1.1169 -1.7685 1.8412
Si -6.4819 -8.8245 4.5971
Si -3.0954 -6.0434 5.0210
Si -5.9439 -8.2816 -0.0943
Si -2.6201 -5.4075 -0.3678
Si 1.7408 -2.7369 7.6484
Si -1.3418 -5.7949 2.4448
Si -3.3493 -9.0928 4.6374
Si -2.8736 -8.4520 -0.7508
Si 1.3196 -6.4723 6.0683
Si -1.6071 -8.9819 2.0439
Si 2.5861 -7.0022 8.8630
Si 3.0618 -6.3614 3.4748
Si 1.0543 -9.6593 5.6674
Si -2.0283 -12.7173 0.4638
Si 2.3327 -10.0467 8.4800
Si 5.6564 -7.1727 8.2065
Si 2.8080 -9.4109 3.0912
Si 6.1944 -6.6298 3.5151
Si 0.8294 -13.6858 6.2709
Si 5.4026 -10.2221 7.8229
Si 5.9410 -9.6743 3.1320
O -5.5855 -4.4155 1.6834
O -7.2960 -7.6059 7.8248
O -6.8871 -7.2467 4.6989
O -2.3082 -1.9929 0.7305
O -1.7748 -2.3531 3.2393
O -4.6543 -5.7929 4.5791
O -6.1633 -6.7807 0.5166
O -2.8102 -5.2396 6.3971
O -1.0670 -3.1622 5.6640
O -3.3392 -6.5136 9.4379
O 0.3405 -3.4617 7.9691
O -2.2495 -5.4219 3.7641
O 0.1531 -2.6101 1.3234
O -2.1726 -5.1049 1.1946
O -0.9581 -5.6872 8.5579
O -4.9188 -8.9697 4.1795
O -6.0022 -9.4218 1.0535
O -2.8075 -7.6458 5.1727
O 1.5430 -3.1201 3.6021
O -3.6036 -9.6904 9.0383
O 2.3233 -3.0587 6.1363
O -0.0014 -5.5549 6.0179
O 2.8568 -3.4186 8.6451
O 0.1097 -5.1458 2.6923
O -1.3511 -8.2660 9.1384
O -1.2815 -7.4036 2.2378
O -3.2269 -10.2458 5.7673
O 1.0839 -4.8031 0.1788
O -2.5902 -9.5151 3.2491
O -2.5134 -9.1984 0.6797
O 2.2259 -6.2558 7.4325
O 2.3027 -5.9391 4.8631
O -1.3713 -10.6512 7.9334
O 2.9395 -5.2084 2.3449
O 0.9941 -8.0506 5.8743
O 1.0636 -7.1882 -1.0263
O -0.3971 -10.3084 5.4199
O -3.1442 -12.0356 -0.5329
O -0.2860 -9.8993 2.0942
O -2.6108 -12.3955 1.9759
O 3.3162 -5.7638 -0.9261
O -1.8305 -12.3342 4.5101
O 2.5200 -7.8084 2.9395
O 5.7148 -6.0324 7.0586
O 4.6313 -6.4845 3.9327
O 0.6707 -9.7670 -0.4457
O 1.8852 -10.3493 6.9175
O -0.4406 -12.8442 6.7887
O 1.9620 -10.0323 4.3481
O -0.6279 -11.9925 0.1431
O 3.0517 -8.9406 -1.3258
O 0.7795 -12.2920 2.4482
O 2.5227 -10.2147 1.7150
O 5.8759 -8.6735 7.5956
O 4.3669 -9.6613 3.5330
O 1.4874 -13.1011 4.8729
O 2.0208 -13.4613 7.3817
O 6.5996 -8.2076 3.4132
O 7.0086 -7.8484 0.2874
O 5.2980 -11.0387 6.4288
```


No. 2
A plane-wave DFT calculation with GGA+U was carried out for a geometry-optimized Te15W2Br12O2 structure.

Properties
V   1040 Å³/cell
DFT formation energy   -0.356 eV per atom

Structure (extended XYZ):
```
31
Lattice="7.9283 0.0000 0.0000 -1.9901 8.6106 0.0000 -1.9930 -1.9527 15.2379" Properties=species:S:1:pos:R:3 pbc="T T T"
Te -2.0027 6.9753 5.3525
Te 1.9770 6.9479 5.3262
Te 5.9528 -0.1678 10.0070
Te 1.9631 -0.1707 10.0114
Te 5.9298 5.0094 2.9501
Te 1.9781 4.9822 2.9289
Te -1.9223 1.6795 12.1821
Te 1.8866 1.6869 12.1751
Te -0.0058 0.8546 8.1701
Te 3.9554 0.9548 8.3261
Te 3.9452 5.7379 7.0068
Te -0.0011 5.7412 7.0054
Te -0.0112 3.3418 4.0448
Te 3.9563 3.3278 4.0871
Te 3.9518 3.2560 11.3671
W -2.1941 6.6570 15.2326
W 1.7563 6.6427 15.2345
Br 5.9214 -0.1509 2.5677
Br 1.9514 -0.1299 2.5597
Br -2.0257 6.7478 12.6628
Br 1.9299 6.6348 12.6910
Br 5.9384 2.5178 0.1334
Br 1.9695 2.5497 0.0881
Br -2.0093 4.0851 15.1513
Br 1.9358 4.0637 15.1813
Br 5.9072 1.8450 6.0355
Br 2.0122 1.8412 6.0291
Br -1.9673 4.8605 8.9696
Br 1.9351 4.8325 8.9621
O 5.8678 8.5937 0.0018
O 1.8983 8.6000 0.0045
```


No. 3
A plane-wave DFT calculation with GGA+U was carried out for a geometry-optimized FeOF structure.

Properties
V   417 Å³/cell
DFT formation energy   -2.035 eV per atom

Structure (extended XYZ):
```
36
Lattice="-8.6780 -9.0418 6.7082 7.5018 -5.2387 2.5053 0.2862 1.6513 2.5960" Properties=species:S:1:pos:R:3 pbc="T T T"
Fe -1.1793 -14.2725 9.2087
Fe 3.6490 -2.6708 1.2966
Fe 0.6726 -1.7976 2.9083
Fe 4.1270 -4.4423 4.2098
Fe 4.4582 -8.2827 4.7771
Fe 0.9470 -5.7013 3.5222
Fe 1.4827 -7.5024 6.4478
Fe -2.4983 -5.1962 5.4197
Fe -5.7736 -6.1289 4.5350
Fe -2.1512 -8.6153 5.7173
Fe -5.0328 -7.8735 7.4021
Fe -1.2259 -10.8078 8.8489
O 2.6018 -1.8578 2.7339
O 0.2203 -1.6374 1.0173
O 4.0869 -4.3109 2.2916
O 2.2596 -4.7080 4.5846
O 3.4696 -7.5036 6.2295
O 1.0483 -7.3402 4.5535
O -2.2210 -6.9716 4.6795
O -4.3601 -5.0878 5.5559
O -3.1433 -7.9705 7.2555
O 0.5749 -10.5066 8.4588
O -5.5224 -7.7828 5.5594
O -1.4306 -12.6708 8.2176
F 6.3205 -4.5329 4.0256
F 0.5175 -3.8592 2.3978
F 4.3913 -6.5298 3.6695
F -1.4659 -2.1116 3.3437
F -0.3185 -4.8063 4.9314
F -2.5697 -4.7229 3.2875
F 1.4343 -9.4900 5.8784
F -0.5718 -7.8365 6.8868
F -1.7585 -10.4121 6.8169
F -5.1871 -9.9670 6.9118
F -7.2164 -8.1899 7.8441
F -3.4790 -10.7098 9.0350
```


No. 4
A plane-wave DFT calculation with GGA+U was carried out for a geometry-optimized Sr18Ni13O42 structure.

Properties
V   938 Å³/cell
DFT formation energy   -2.021 eV per atom

Structure (extended XYZ):
```
73
Lattice="12.3645 -4.7383 0.0000 12.3645 4.7383 0.0000 10.5487 0.0000 8.0035" Properties=species:S:1:pos:R:3 pbc="T T T"
Sr 12.7903 -3.3974 2.8981
Sr 12.1381 1.6956 5.7727
Sr 14.1092 -1.5591 6.0684
Sr 13.4401 1.7018 0.0340
Sr 15.3360 -1.6421 0.6611
Sr 16.6501 -3.1268 3.9192
Sr 14.7385 3.2013 3.2946
Sr 16.0969 1.6831 6.3577
Sr 17.9665 -1.3445 6.9879
Sr 17.2951 1.4436 1.0762
Sr 19.1665 -1.7870 1.6985
Sr 20.5575 -3.1854 4.6279
Sr 18.6513 3.1315 3.9695
Sr 19.9355 1.5623 7.3695
Sr 21.8916 -1.6650 7.9817
Sr 21.1562 1.6231 1.9891
Sr 23.1864 -1.7139 2.2742
Sr 22.5484 3.3790 5.0866
Ni 35.2542 0.0000 7.9982
Ni 2.4029 0.0000 0.5451
Ni 7.6230 0.0000 1.7294
Ni 10.0593 0.0000 2.2822
Ni 12.6193 0.0000 2.8630
Ni 15.2151 0.0000 3.4519
Ni 17.6394 0.0000 4.0019
Ni 20.0631 0.0000 4.5518
Ni 22.6493 0.0000 5.1385
Ni 25.2366 0.0000 5.7255
Ni 27.6787 0.0000 6.2795
Ni 30.2701 0.0000 6.8675
Ni 32.8446 0.0000 7.4515
O 6.7221 -1.6306 1.4521
O 6.3860 0.7537 2.9334
O 7.0109 0.8770 0.1790
O 8.5893 -0.7185 3.2269
O 9.1407 -0.7203 0.7966
O 8.8654 1.4388 2.0102
O 11.1427 -1.4971 2.5996
O 10.8790 0.8090 3.7618
O 11.4527 0.6881 1.2330
O 11.9429 -0.6630 6.9739
O 13.4501 -3.2701 0.3305
O 14.1081 -1.4319 3.2061
O 13.8355 0.7205 4.4078
O 15.3733 -3.9806 2.0846
O 14.3842 0.7114 1.9891
O 14.1564 0.8052 7.4482
O 13.1961 3.9330 1.4504
O 16.1891 -0.6695 4.9958
O 16.7455 -0.7826 2.5431
O 16.4890 1.4521 3.6739
O 15.6819 3.1754 0.7244
O 19.3883 -3.2890 7.2006
O 18.7819 -1.4358 4.3397
O 18.5323 0.7843 5.4402
O 19.0825 0.6515 3.0149
O 22.0080 -3.9513 6.5451
O 20.9253 -0.7219 0.4257
O 20.8895 -0.7087 6.0263
O 19.6650 4.0109 5.9812
O 21.4419 -0.7326 3.5917
O 21.1703 1.4414 4.7888
O 21.7533 3.2865 7.6680
O 23.2675 0.6648 0.9939
O 23.8406 -0.6850 6.7677
O 24.4116 -0.8052 4.2506
O 24.1491 1.4902 5.4076
O 26.4641 -1.4235 5.9975
O 26.1893 0.7063 7.2090
O 26.7348 0.7173 4.8045
O 28.4952 -0.8029 7.7629
O 29.0692 -0.6949 5.2330
O 28.7615 1.4978 6.5891
```


No. 5
A plane-wave DFT calculation with GGA+U was carried out for a geometry-optimized Li6MnFe2O6 structure.

Properties
Energy relative to the lowest polymorph listed for this composition   0 meV per atom
V   282 Å³/cell
DFT formation energy   -1.896 eV per atom

Structure (extended XYZ):
```
30
Lattice="0.0000 -1.7464 2.7967 3.1798 13.0296 6.1757 -5.6003 2.2892 -0.5095" Properties=species:S:1:pos:R:3 pbc="T T T"
Li -2.8764 3.7726 4.2967
Li 1.4980 9.1392 7.6383
Li -4.3853 5.1441 3.2111
Li -0.0097 10.5115 6.5539
Li -3.9968 1.9984 3.1981
Li 0.3965 7.3742 6.5414
Li -3.2828 6.9124 4.3064
Li 1.1075 12.2797 7.6505
Li -2.4697 2.3500 1.4726
Li 1.9266 7.7275 4.8166
Li 0.7864 6.0137 3.7429
Li -0.4192 13.6740 6.5799
Mn -2.0523 11.8540 5.4494
Mn -0.8370 4.1745 2.6010
Fe -0.4117 1.0447 2.5999
Fe -1.6206 8.6994 5.4273
Fe -1.2645 5.5864 5.4215
Fe -2.4797 13.2340 8.2494
O -2.3878 5.4547 3.4014
O 1.9819 10.8201 6.7470
O 0.7248 2.9178 1.8188
O -0.4971 10.5766 4.6532
O -1.9527 2.2772 3.3688
O -3.1567 9.9403 6.2034
O 0.2662 4.3446 4.6464
O -0.9416 12.0062 7.4823
O -1.5559 0.9027 0.5620
O -2.7660 8.5647 3.3954
O -4.5166 2.0936 1.3076
O -0.1191 7.4674 4.6555
```


No. 6
A plane-wave DFT calculation with GGA+U was carried out for a geometry-optimized Li9Fe3P8O29 structure.

Properties
V   1159 Å³/cell
DFT formation energy   -2.598 eV per atom

Structure (extended XYZ):
```
98
Lattice="4.9308 -8.5404 0.0000 4.9308 8.5404 0.0000 0.0000 0.0000 13.7656" Properties=species:S:1:pos:R:3 pbc="T T T"
Li 5.5906 -5.6782 0.8800
Li 7.7127 -2.0025 7.7628
Li 4.9308 -2.8468 12.1154
Li 4.2710 5.6782 12.8856
Li 2.1488 2.0025 6.0028
Li 2.8086 0.8597 12.8856
Li 7.0530 0.8597 6.0028
Li 4.9308 -2.8468 5.2326
Li 7.0530 -0.8597 0.8800
Li 2.1488 -2.0025 0.8800
Li 4.2710 -5.6782 7.7628
Li 4.9308 2.8468 8.5330
Li 4.9308 2.8468 1.6502
Li 5.5906 5.6782 6.0028
Li 0.0000 0.0000 0.0000
Li 0.0000 0.0000 6.8828
Li 2.8086 -0.8597 7.7628
Li 7.7127 2.0025 12.8856
Fe 2.7907 -4.8337 10.3242
Fe 2.7907 4.8337 10.3242
Fe 5.5814 0.0000 3.4414
Fe 4.2801 0.0000 10.3242
Fe 2.1401 -3.7067 3.4414
Fe 2.1401 3.7067 3.4414
P 7.1859 -0.7688 11.6222
P 2.6757 0.7688 2.1434
P 4.2588 -5.8388 4.7394
P 4.9308 2.8468 12.0527
P 7.8579 1.9328 2.1434
P 4.9308 -2.8468 1.7130
P 2.0037 -1.9328 11.6222
P 5.6028 -5.8388 11.6222
P 5.6028 5.8388 9.0262
P 4.9308 2.8468 5.1698
P 2.6757 -0.7688 4.7394
P 4.9308 -2.8468 8.5958
P 7.8579 -1.9328 4.7394
P 4.2588 5.8388 2.1434
P 2.0037 1.9328 9.0262
P 7.1859 0.7688 9.0262
O 1.1371 1.9240 12.8475
O 2.9005 -3.1743 11.4747
O 4.1219 -1.6178 9.1282
O 6.9610 -3.1743 4.5919
O 4.9308 -2.8468 7.0813
O 2.0063 2.1494 2.1409
O 4.2709 -4.1618 9.1282
O 4.0725 -5.7281 11.6247
O 2.8646 -0.6628 11.6247
O 5.5907 4.1618 4.6375
O 3.4620 2.7608 4.6375
O 8.7245 -1.9240 0.9181
O 6.2295 -4.4413 11.4747
O 4.1219 1.6178 11.5203
O 5.6623 -0.9248 11.4747
O 1.0520 1.8222 10.3242
O 3.4620 -2.7608 2.2454
O 6.9610 3.1743 2.2909
O 6.9970 -0.6628 4.7419
O 3.6321 4.4413 2.2909
O 2.2348 -0.0227 0.9181
O 2.8646 0.6628 9.0237
O 7.6268 0.0227 12.8475
O 2.9005 3.1743 9.1737
O 7.8552 2.1494 9.0237
O 4.9308 2.8468 6.6843
O 5.7891 -5.7281 4.7419
O 5.7397 1.6178 4.6375
O 2.1041 0.0000 3.4414
O 5.6623 0.9248 9.1737
O 6.2295 4.4413 9.1737
O 3.8331 6.5936 5.9647
O 5.5907 -4.1618 2.2454
O 4.9308 2.8468 13.5671
O 4.1993 0.9248 2.2909
O 3.6321 -4.4413 4.5919
O 6.3996 -2.7608 9.1282
O 2.2348 0.0227 5.9647
O 7.7575 0.0000 10.3242
O 4.1993 -0.9248 4.5919
O 4.2709 4.1618 11.5203
O 3.8331 -6.5936 0.9181
O 6.0285 -6.5936 7.8009
O 2.0063 -2.1494 4.7419
O 5.7397 -1.6178 2.2454
O 7.8552 -2.1494 11.6247
O 4.9308 -2.8468 0.1985
O 7.6268 -0.0227 7.8009
O 3.8788 -6.7182 3.4414
O 1.1371 -1.9240 7.8009
O 5.7891 5.7281 2.1409
O 6.9970 0.6628 2.1409
O 8.7245 1.9240 5.9647
O 1.0520 -1.8222 10.3242
O 6.3996 2.7608 11.5203
O 6.0285 6.5936 12.8475
O 3.8788 6.7182 3.4414
O 4.0725 5.7281 9.0237
```


No. 7
A plane-wave DFT calculation with GGA+U was carried out for a geometry-optimized BaPrMgCo2O6 structure.

Properties
Energy relative to the lowest polymorph listed for this composition   281 meV per atom
V   165 Å³/cell
DFT formation energy   -2.089 eV per atom

Structure (extended XYZ):
```
11
Lattice="-0.5960 -3.8938 -1.0424 1.1036 -1.0858 3.4249 -10.1899 0.6274 3.4823" Properties=species:S:1:pos:R:3 pbc="T T T"
Ba -9.8187 0.6045 3.3554
Pr -3.6198 0.2229 1.2370
Mg -6.4832 -1.5661 1.5925
Co -7.9621 -1.9840 3.9989
Co -1.5574 -2.3783 1.8102
O -7.5121 -0.0464 4.4682
O -8.2842 -1.4552 2.2080
O -1.8517 -0.3949 2.5338
O -2.8767 -1.7881 0.3600
O -5.0257 -2.1648 2.9954
O 0.1718 -2.4848 1.2192
```


> Look up the DFT formation energy of the first one.

-3.051 eV per atom


> Which formula does entry 2 have?

Te15W2Br12O2


> Which of these has the lowest DFT formation energy?

Li2VSi6O15


> Which of these has the highest DFT formation energy?

Te15W2Br12O2